Record 1
# Zn2Cr3O8, relaxed, DFT PBE with a Hubbard U
data_Zn2Cr3O8
_chemical_formula_sum 'Zn4 Cr6 O16'
_cell_length_a 10.3524
_cell_length_b 5.8713
_cell_length_c 4.9732
_cell_angle_alpha 90.00
_cell_angle_beta 111.70
_cell_angle_gamma 90.00
_space_group_name_H-M_alt 'C 1 2/m 1'
_space_group_IT_number 12
loop_
_space_group_symop_operation_xyz
'x,y,z'
'-x,-y,-z'
'-x,y,-z'
'x,-y,z'
'x+1/2,y+1/2,z'
'-x+1/2,-y+1/2,-z'
'-x+1/2,y+1/2,-z'
'x+1/2,-y+1/2,z'
loop_
_atom_site_label
_atom_site_type_symbol
_atom_site_fract_x
_atom_site_fract_y
_atom_site_fract_z
Zn1 Zn 0.2169 0.0000 0.1581
Cr1 Cr 0.0000 0.2402 0.5000
Cr2 Cr 0.0000 0.5000 0.0000
O1 O 0.1041 0.0000 0.4250
O2 O 0.1083 0.5000 0.4249
O3 O 0.1128 0.2735 0.9101
# ρ in g cm⁻³: 4.90
# Formation energy in eV per atom: -1.868
# Final energy in eV for the cell shown: -167.71

---

Record 2
# Li12Cr3NiP4C4O28, relaxed, DFT PBE with a Hubbard U
data_Li12Cr3NiP4C4O28
_chemical_formula_sum 'Li12 Cr3 Ni1 P4 C4 O28'
_cell_length_a 8.6186
_cell_length_b 6.4626
_cell_length_c 9.9952
_cell_angle_alpha 90.00
_cell_angle_beta 94.59
_cell_angle_gamma 90.00
_space_group_name_H-M_alt 'P 1 m 1'
_space_group_IT_number 6
loop_
_space_group_symop_operation_xyz
'x,y,z'
'x,-y,z'
loop_
_atom_site_label
_atom_site_type_symbol
_atom_site_fract_x
_atom_site_fract_y
_atom_site_fract_z
Li1 Li 0.0000 0.0000 0.0000
Li2 Li 0.0013 0.0000 0.5010
Li3 Li 0.1688 0.2273 0.7554
Li4 Li 0.1697 0.2250 0.2599
Li5 Li 0.6232 0.2711 0.5127
Li6 Li 0.6230 0.2728 0.0133
Li7 Li 0.7902 0.5000 0.7669
Li8 Li 0.7995 0.5000 0.2718
Cr1 Cr 0.2286 0.5000 0.9906
Cr2 Cr 0.5604 0.0000 0.7774
Cr3 Cr 0.5620 0.0000 0.2814
Ni1 Ni 0.2294 0.5000 0.4859
P1 P 0.3074 0.0000 0.0244
P2 P 0.3065 0.0000 0.5238
P3 P 0.4793 0.5000 0.7421
P4 P 0.4846 0.5000 0.2484
C1 C 0.8644 0.0000 0.2367
C2 C 0.8640 0.0000 0.7365
C3 C 0.9260 0.5000 0.0324
C4 C 0.9395 0.5000 0.5345
O1 O 0.0050 0.0000 0.1983
O2 O 0.0054 0.0000 0.6996
O3 O 0.0448 0.5000 0.1232
O4 O 0.0553 0.5000 0.6273
O5 O 0.2076 0.1866 0.9680
O6 O 0.2079 0.1878 0.4676
O7 O 0.3165 0.0000 0.1800
O8 O 0.3156 0.0000 0.6797
O9 O 0.3174 0.5000 0.2952
O10 O 0.3171 0.5000 0.7961
O11 O 0.4598 0.5000 0.5854
O12 O 0.4744 0.0000 0.9774
O13 O 0.4745 0.0000 0.4785
O14 O 0.4751 0.5000 0.0928
O15 O 0.5828 0.3140 0.7942
O16 O 0.5849 0.3134 0.3044
O17 O 0.7451 0.0000 0.1463
O18 O 0.7464 0.0000 0.6445
O19 O 0.7853 0.5000 0.0713
O20 O 0.7960 0.5000 0.5664
O21 O 0.8361 0.0000 0.8610
O22 O 0.8387 0.0000 0.3618
O23 O 0.9514 0.5000 0.9075
O24 O 0.9737 0.5000 0.4105
# ρ in g cm⁻³: 2.75
# Formation energy in eV per atom: -2.363
# Final energy in eV for the cell shown: -349.85

---

Record 3
# Li3V3P8O29, relaxed, DFT PBE with a Hubbard U
data_Li3V3P8O29
_chemical_formula_sum 'Li6 V6 P16 O58'
_cell_length_a 9.7535
_cell_length_b 9.7549
_cell_length_c 14.3728
_cell_angle_alpha 89.38
_cell_angle_beta 89.78
_cell_angle_gamma 60.13
_space_group_name_H-M_alt 'P 1'
_space_group_IT_number 1
loop_
_space_group_symop_operation_xyz
'x,y,z'
loop_
_atom_site_label
_atom_site_type_symbol
_atom_site_fract_x
_atom_site_fract_y
_atom_site_fract_z
Li1 Li 0.0000 0.0000 0.0000
Li2 Li 0.0021 0.1371 0.5035
Li3 Li 0.2414 0.2109 0.3841
Li4 Li 0.3398 0.9499 0.9443
Li5 Li 0.4030 0.6048 0.5045
Li6 Li 0.5518 0.5850 0.0002
V1 V 0.3160 0.4735 0.6988
V2 V 0.3287 0.3386 0.1858
V3 V 0.7528 0.4763 0.1953
V4 V 0.7537 0.9084 0.6909
V5 V 0.8819 0.9080 0.1952
V6 V 0.8879 0.3458 0.6983
P1 P 0.9997 0.1370 0.2860
P2 P 0.0078 0.9926 0.7873
P3 P 0.0963 0.2168 0.1065
P4 P 0.0966 0.8225 0.6077
P5 P 0.2296 0.2291 0.5996
P6 P 0.2348 0.6888 0.1088
P7 P 0.4057 0.1256 0.7788
P8 P 0.4086 0.5866 0.2878
P9 P 0.5462 0.5953 0.7867
P10 P 0.5457 0.9922 0.2860
P11 P 0.6240 0.8271 0.1027
P12 P 0.6339 0.6839 0.6070
P13 P 0.6539 0.2468 0.5773
P14 P 0.6590 0.2434 0.0743
P15 P 0.9841 0.5782 0.8113
P16 P 0.9941 0.5676 0.3088
O1 O 0.0604 0.2506 0.6072
O2 O 0.0611 0.8267 0.1057
O3 O 0.0706 0.1470 0.3759
O4 O 0.0858 0.9305 0.8789
O5 O 0.0941 0.9186 0.5264
O6 O 0.1152 0.1109 0.0278
O7 O 0.1185 0.1220 0.2041
O8 O 0.1236 0.8934 0.7036
O9 O 0.1336 0.5794 0.7671
O10 O 0.1441 0.4226 0.2680
O11 O 0.2222 0.3874 0.6239
O12 O 0.2332 0.2553 0.1102
O13 O 0.2364 0.5275 0.1166
O14 O 0.2393 0.6509 0.6066
O15 O 0.3002 0.7097 0.2079
O16 O 0.3018 0.1651 0.5079
O17 O 0.3226 0.1084 0.8603
O18 O 0.3281 0.1097 0.6829
O19 O 0.3317 0.6966 0.0312
O20 O 0.3410 0.6464 0.3803
O21 O 0.3999 0.2891 0.7713
O22 O 0.4024 0.1645 0.2766
O23 O 0.4074 0.5620 0.7726
O24 O 0.4199 0.4268 0.2619
O25 O 0.5004 0.3891 0.6188
O26 O 0.5115 0.2366 0.1178
O27 O 0.5261 0.9046 0.0197
O28 O 0.5258 0.9050 0.1963
O29 O 0.5317 0.7093 0.7021
O30 O 0.5341 0.6715 0.8777
O31 O 0.5453 0.6779 0.5255
O32 O 0.5511 0.9122 0.3739
O33 O 0.5758 0.5678 0.2716
O34 O 0.5804 0.9928 0.7724
O35 O 0.6472 0.3977 0.1159
O36 O 0.6568 0.2491 0.9711
O37 O 0.6588 0.2469 0.4739
O38 O 0.6634 0.0935 0.6219
O39 O 0.6632 0.8262 0.6088
O40 O 0.6660 0.6496 0.1084
O41 O 0.7003 0.0017 0.2634
O42 O 0.7042 0.4376 0.7722
O43 O 0.7805 0.8327 0.1148
O44 O 0.7950 0.5309 0.6247
O45 O 0.8008 0.2514 0.6189
O46 O 0.8105 0.0956 0.1150
O47 O 0.8377 0.7216 0.7651
O48 O 0.8387 0.2885 0.2654
O49 O 0.8483 0.5626 0.2624
O50 O 0.8522 0.9909 0.7718
O51 O 0.9360 0.3712 0.1146
O52 O 0.9417 0.8165 0.6211
O53 O 0.9770 0.1646 0.7712
O54 O 0.9777 0.9914 0.2756
O55 O 0.9821 0.7214 0.2619
O56 O 0.9873 0.5746 0.9141
O57 O 0.9888 0.5678 0.4115
O58 O 0.9905 0.4258 0.7676
# ρ in g cm⁻³: 2.48
# Formation energy in eV per atom: -2.525
# Final energy in eV for the cell shown: -606.68

---

Record 4
# HoMgCo2O6, relaxed, DFT PBE with a Hubbard U
data_HoMgCo2O6
_chemical_formula_sum 'Ho2 Mg2 Co4 O12'
_cell_length_a 5.1366
_cell_length_b 5.5514
_cell_length_c 8.8948
_cell_angle_alpha 90.00
_cell_angle_beta 123.58
_cell_angle_gamma 90.00
_space_group_name_H-M_alt 'P 1 c 1'
_space_group_IT_number 7
loop_
_space_group_symop_operation_xyz
'x,y,z'
'x,-y,z+1/2'
loop_
_atom_site_label
_atom_site_type_symbol
_atom_site_fract_x
_atom_site_fract_y
_atom_site_fract_z
Ho1 Ho 0.0000 0.1670 0.0000
Mg1 Mg 0.5537 0.3234 0.5068
Co1 Co 0.2722 0.2620 0.7512
Co2 Co 0.7711 0.2596 0.2538
O1 O 0.0009 0.4358 0.1894
O2 O 0.1748 0.2201 0.5183
O3 O 0.4017 0.2986 0.9901
O4 O 0.5364 0.0782 0.3162
O5 O 0.6370 0.4431 0.8154
O6 O 0.9069 0.0723 0.6950
# ρ in g cm⁻³: 6.34
# Formation energy in eV per atom: -2.161
# Final energy in eV for the cell shown: -128.59

---

Record 5
# La10Mn9O30, relaxed, DFT PBE with a Hubbard U
data_La10Mn9O30
_chemical_formula_sum 'La10 Mn9 O30'
_cell_length_a 7.8719
_cell_length_b 9.4967
_cell_length_c 9.6598
_cell_angle_alpha 81.33
_cell_angle_beta 66.39
_cell_angle_gamma 66.74
_space_group_name_H-M_alt 'P -1'
_space_group_IT_number 2
loop_
_space_group_symop_operation_xyz
'x,y,z'
'-x,-y,-z'
loop_
_atom_site_label
_atom_site_type_symbol
_atom_site_fract_x
_atom_site_fract_y
_atom_site_fract_z
La1 La 0.0449 0.2799 0.0910
La2 La 0.1423 0.9016 0.2896
La3 La 0.2498 0.4999 0.4997
La4 La 0.3366 0.0927 0.7107
La5 La 0.4335 0.7106 0.9073
Mn1 Mn 0.1026 0.5936 0.2005
Mn2 Mn 0.2010 0.1985 0.3992
Mn3 Mn 0.3035 0.8000 0.5939
Mn4 Mn 0.3992 0.4004 0.8013
Mn5 Mn 0.5000 0.0000 0.0000
O1 O 0.0663 0.8134 0.5547
O2 O 0.0907 0.2736 0.6102
O3 O 0.0945 0.4148 0.3301
O4 O 0.0988 0.7745 0.0877
O5 O 0.1308 0.9190 0.7705
O6 O 0.1381 0.3863 0.8374
O7 O 0.2788 0.0069 0.9636
O8 O 0.2928 0.4717 0.0128
O9 O 0.2978 0.6130 0.7276
O10 O 0.3038 0.1261 0.1887
O11 O 0.3103 0.9863 0.4686
O12 O 0.3373 0.5849 0.2395
O13 O 0.4621 0.2150 0.3595
O14 O 0.4887 0.6697 0.4159
O15 O 0.4971 0.8108 0.1258
# ρ in g cm⁻³: 6.46
# Formation energy in eV per atom: -2.987
# Final energy in eV for the cell shown: -391.00

---

Record 6
# TiFe5P6O24, relaxed, DFT PBE with a Hubbard U
data_TiFe5P6O24
_chemical_formula_sum 'Ti3 Fe15 P18 O72'
_cell_length_a 8.6506
_cell_length_b 8.6506
_cell_length_c 20.5289
_cell_angle_alpha 90.00
_cell_angle_beta 90.00
_cell_angle_gamma 120.00
_space_group_name_H-M_alt 'R 3'
_space_group_IT_number 146
_space_group_name_Hall 'R 3'
loop_
_atom_site_label
_atom_site_type_symbol
_atom_site_fract_x
_atom_site_fract_y
_atom_site_fract_z
Ti1 Ti 0.0000 0.0000 0.0000
Fe1 Fe 0.0000 0.0000 0.2107
Fe2 Fe 0.0000 0.0000 0.3562
Fe3 Fe 0.0000 0.0000 0.5036
Fe4 Fe 0.0000 0.0000 0.7128
Fe5 Fe 0.0000 0.0000 0.8557
P1 P 0.0018 0.7051 0.1066
P2 P 0.0384 0.3703 0.2749
O1 O 0.0077 0.2011 0.6692
O2 O 0.0127 0.8294 0.7814
O3 O 0.0141 0.1783 0.2843
O4 O 0.0144 0.8098 0.1677
O5 O 0.1388 0.4641 0.2129
O6 O 0.1493 0.6754 0.7129
O7 O 0.1641 0.4867 0.6002
O8 O 0.1712 0.6863 0.0944
# ρ in g cm⁻³: 3.36
# Formation energy in eV per atom: -2.459
# Final energy in eV for the cell shown: -786.67